Density functional theory data (r²SCAN) for a geometry-optimized PSe structure.

Cell and atoms, written as CIF:
```
data_PSe
_symmetry_space_group_name_H-M 'P 1 21/c 1'
_symmetry_Int_Tables_number 14
_symmetry_space_group_name_Hall '-P 2ybc'
_cell_length_a 11.6179
_cell_length_b 7.3610
_cell_length_c 11.9744
_cell_angle_alpha 90.00
_cell_angle_beta 115.85
_cell_angle_gamma 90.00
loop_
_atom_site_label
_atom_site_fract_x
_atom_site_fract_y
_atom_site_fract_z
_atom_site_occupancy
P1 0.1710 0.1876 0.2419 1
P2 0.1787 0.6266 0.3028 1
P3 0.2627 0.0034 0.1613 1
P4 0.3250 0.6959 0.9374 1
Se1 0.1130 0.7190 0.6195 1
Se2 0.1969 0.0448 0.4211 1
Se3 0.3215 0.0868 0.8026 1
Se4 0.4323 0.6064 0.8283 1
```

ΔH_f (0 K)   -90 meV per atom
Uncorrected energy   -11.747 eV per atom
Calculated volume   28.8 A^3/atom


Density functional theory data (r²SCAN) for a geometry-optimized BaIn2Te4 structure.

Cell and atoms, written as CIF:
```
data_BaIn2Te4
_symmetry_space_group_name_H-M 'I 4 2 2'
_symmetry_Int_Tables_number 97
_symmetry_space_group_name_Hall 'I 4 2'
_cell_length_a 8.7183
_cell_length_b 8.7183
_cell_length_c 7.1785
_cell_angle_alpha 90.00
_cell_angle_beta 90.00
_cell_angle_gamma 90.00
loop_
_atom_site_label
_atom_site_fract_x
_atom_site_fract_y
_atom_site_fract_z
_atom_site_occupancy
Ba1 0.0000 0.0000 0.0000 1
In1 0.0000 0.5000 0.0000 1
Te1 0.1764 0.3236 0.2500 1
```

ΔH_f (0 K)   -951 meV per atom
Uncorrected energy   -25.712 eV per atom
Calculated volume   39.0 A^3/atom


Density functional theory data (r²SCAN) for a geometry-optimized Yb2Ge structure.

Cell and atoms, written as CIF:
```
data_Yb2Ge
_symmetry_space_group_name_H-M 'P n m a'
_symmetry_Int_Tables_number 62
_symmetry_space_group_name_Hall '-P 2ac 2n'
_cell_length_a 7.3924
_cell_length_b 4.2661
_cell_length_c 9.0415
_cell_angle_alpha 90.00
_cell_angle_beta 90.00
_cell_angle_gamma 90.00
loop_
_atom_site_label
_atom_site_fract_x
_atom_site_fract_y
_atom_site_fract_z
_atom_site_occupancy
Yb1 0.0434 0.2500 0.1689 1
Yb2 0.1318 0.2500 0.5672 1
Ge1 0.2373 0.2500 0.8719 1
```

ΔH_f (0 K)   -704 meV per atom
Uncorrected energy   -29.681 eV per atom
Calculated volume   23.8 A^3/atom


Density functional theory data (r²SCAN) for a geometry-optimized RbUF5 structure.

Cell and atoms, written as CIF:
```
data_RbUF5
_symmetry_space_group_name_H-M 'P 1 21/c 1'
_symmetry_Int_Tables_number 14
_symmetry_space_group_name_Hall '-P 2ybc'
_cell_length_a 8.2149
_cell_length_b 13.6968
_cell_length_c 8.2588
_cell_angle_alpha 90.00
_cell_angle_beta 102.07
_cell_angle_gamma 90.00
loop_
_atom_site_label
_atom_site_fract_x
_atom_site_fract_y
_atom_site_fract_z
_atom_site_occupancy
Rb1 0.2185 0.0169 0.2931 1
Rb2 0.2704 0.0172 0.7683 1
U1 0.0554 0.7474 0.5422 1
U2 0.4851 0.7467 0.4125 1
F1 0.0233 0.5973 0.9969 1
F2 0.0304 0.1025 0.9176 1
F3 0.0315 0.1926 0.2277 1
F4 0.2097 0.6905 0.8163 1
F5 0.2285 0.2335 0.5228 1
F6 0.2744 0.6478 0.4883 1
F7 0.3298 0.6836 0.1448 1
F8 0.4166 0.2060 0.8157 1
F9 0.4324 0.0983 0.1100 1
F10 0.4837 0.0969 0.5598 1
```

ΔH_f (0 K)   -3820 meV per atom
Uncorrected energy   -19.463 eV per atom
Calculated volume   16.2 A^3/atom


Density functional theory data (r²SCAN) for a geometry-optimized Ta2Pt3Se8 structure.

Cell and atoms, written as CIF:
```
data_Ta2Pt3Se8
_symmetry_space_group_name_H-M 'P b a m'
_symmetry_Int_Tables_number 55
_symmetry_space_group_name_Hall '-P 2 2ab'
_cell_length_a 11.1048
_cell_length_b 15.3283
_cell_length_c 3.5889
_cell_angle_alpha 90.00
_cell_angle_beta 90.00
_cell_angle_gamma 90.00
loop_
_atom_site_label
_atom_site_fract_x
_atom_site_fract_y
_atom_site_fract_z
_atom_site_occupancy
Ta1 0.1975 0.1265 0.0000 1
Pt1 0.0000 0.0000 0.5000 1
Pt2 0.1481 0.7243 0.5000 1
Se1 0.0276 0.1582 0.5000 1
Se2 0.0706 0.6278 0.0000 1
Se3 0.2210 0.0023 0.5000 1
Se4 0.2302 0.2928 0.0000 1
```

ΔH_f (0 K)   -735 meV per atom
Uncorrected energy   -28.900 eV per atom
Calculated volume   23.5 A^3/atom


Density functional theory data (r²SCAN) for a geometry-optimized LiMg2 structure.

Cell and atoms, written as CIF:
```
data_LiMg2
_symmetry_space_group_name_H-M 'C 1 m 1'
_symmetry_Int_Tables_number 8
_symmetry_space_group_name_Hall 'C -2y'
_cell_length_a 11.4341
_cell_length_b 3.1767
_cell_length_c 7.3397
_cell_angle_alpha 90.00
_cell_angle_beta 105.59
_cell_angle_gamma 90.00
loop_
_atom_site_label
_atom_site_fract_x
_atom_site_fract_y
_atom_site_fract_z
_atom_site_occupancy
Li1 0.0000 0.0000 0.0000 1
Li2 0.1667 0.5000 0.3330 1
Mg1 0.1144 0.5000 0.7331 1
Mg2 0.2829 0.0000 0.0664 1
Mg3 0.3319 0.0000 0.6647 1
Mg4 0.4507 0.5000 0.3942 1
```

ΔH_f (0 K)   -25 meV per atom
Uncorrected energy   -3.600 eV per atom
Calculated volume   21.4 A^3/atom